(1)
Density functional theory data (PBE+U) for a relaxed structure of K8MgCo2Mo8O30.

Values from the calculation:
E: -6.333 eV per atom
ΔE_f: -2.04 eV/atom

CIF file:
```
data_K8MgCo2Mo8O30
_cell_length_a 8.348
_cell_length_b 10.494
_cell_length_c 10.531
_cell_angle_alpha 60.37
_cell_angle_beta 88.16
_cell_angle_gamma 89.16
_symmetry_space_group_name_H-M 'P 1'
_symmetry_Int_Tables_number 1
_symmetry_space_group_name_Hall 'P 1'
loop_
_atom_site_label
_atom_site_type_symbol
_atom_site_fract_x
_atom_site_fract_y
_atom_site_fract_z
_atom_site_occupancy
K1 K 0.000 0.000 0.000 1
K2 K 0.001 0.387 0.365 1
K3 K 0.361 0.725 0.327 1
K4 K 0.701 0.135 0.218 1
K5 K 0.717 0.658 0.986 1
K6 K 0.728 0.387 0.715 1
K7 K 0.838 0.717 0.328 1
K8 K 0.988 0.784 0.609 1
Mg1 Mg 0.056 0.057 0.675 1
Co1 Co 0.381 0.384 0.997 1
Co2 Co 0.383 0.048 0.670 1
Mo1 Mo 0.001 0.393 0.983 1
Mo2 Mo 0.206 0.069 0.317 1
Mo3 Mo 0.223 0.713 0.991 1
Mo4 Mo 0.227 0.382 0.675 1
Mo5 Mo 0.501 0.386 0.332 1
Mo6 Mo 0.501 0.718 0.659 1
Mo7 Mo 0.511 0.046 0.983 1
Mo8 Mo 0.725 0.050 0.632 1
O1 O 0.071 0.943 0.309 1
O2 O 0.072 0.712 0.116 1
O3 O 0.076 0.498 0.558 1
O4 O 0.164 0.078 0.484 1
O5 O 0.190 0.249 0.148 1
O6 O 0.194 0.544 0.977 1
O7 O 0.207 0.375 0.855 1
O8 O 0.209 0.196 0.699 1
O9 O 0.210 0.884 0.815 1
O10 O 0.308 0.729 0.590 1
O11 O 0.309 0.452 0.346 1
O12 O 0.317 0.972 0.047 1
O13 O 0.403 0.006 0.318 1
O14 O 0.415 0.702 0.059 1
O15 O 0.420 0.448 0.604 1
O16 O 0.507 0.365 0.170 1
O17 O 0.516 0.553 0.837 1
O18 O 0.517 0.226 0.968 1
O19 O 0.530 0.207 0.498 1
O20 O 0.536 0.877 0.684 1
O21 O 0.563 0.063 0.804 1
O22 O 0.652 0.708 0.540 1
O23 O 0.655 0.512 0.315 1
O24 O 0.659 0.934 0.112 1
O25 O 0.789 0.033 0.480 1
O26 O 0.864 0.199 0.619 1
O27 O 0.870 0.912 0.774 1
O28 O 0.898 0.397 0.131 1
O29 O 0.910 0.540 0.831 1
O30 O 0.912 0.240 0.984 1
```



(2)
Density functional theory data (PBE+U) for a relaxed structure of K8MgCo2Mo8O30.

Values from the calculation:
E: -6.325 eV per atom
ΔE_f: -2.03 eV/atom

CIF file:
```
data_K8MgCo2Mo8O30
_cell_length_a 8.763
_cell_length_b 10.676
_cell_length_c 10.678
_cell_angle_alpha 119.99
_cell_angle_beta 90.02
_cell_angle_gamma 90.00
_symmetry_space_group_name_H-M 'P 1'
_symmetry_Int_Tables_number 1
_symmetry_space_group_name_Hall 'P 1'
loop_
_atom_site_label
_atom_site_type_symbol
_atom_site_fract_x
_atom_site_fract_y
_atom_site_fract_z
_atom_site_occupancy
K1 K 0.000 0.000 0.000 1
K2 K 0.000 0.239 0.603 1
K3 K 0.000 0.602 0.364 1
K4 K 0.213 0.280 0.322 1
K5 K 0.309 0.358 0.984 1
K6 K 0.309 0.864 0.245 1
K7 K 0.310 0.619 0.739 1
K8 K 0.669 0.280 0.322 1
Mg1 Mg 0.506 0.946 0.656 1
Co1 Co 0.636 0.613 0.989 1
Co2 Co 0.863 0.947 0.656 1
Mo1 Mo 0.008 0.613 0.989 1
Mo2 Mo 0.160 0.947 0.656 1
Mo3 Mo 0.518 0.289 0.653 1
Mo4 Mo 0.518 0.602 0.314 1
Mo5 Mo 0.518 0.949 0.000 1
Mo6 Mo 0.788 0.613 0.673 1
Mo7 Mo 0.789 0.298 0.990 1
Mo8 Mo 0.789 0.929 0.305 1
O1 O 0.097 0.766 0.996 1
O2 O 0.098 0.468 0.837 1
O3 O 0.098 0.607 0.135 1
O4 O 0.169 0.094 0.838 1
O5 O 0.169 0.764 0.620 1
O6 O 0.169 0.983 0.509 1
O7 O 0.372 0.060 0.123 1
O8 O 0.372 0.300 0.542 1
O9 O 0.372 0.479 0.302 1
O10 O 0.480 0.782 0.465 1
O11 O 0.480 0.920 0.820 1
O12 O 0.481 0.137 0.682 1
O13 O 0.509 0.451 0.831 1
O14 O 0.509 0.617 0.152 1
O15 O 0.510 0.772 0.986 1
O16 O 0.602 0.552 0.612 1
O17 O 0.602 0.990 0.305 1
O18 O 0.603 0.298 0.050 1
O19 O 0.701 0.027 0.057 1
O20 O 0.701 0.269 0.576 1
O21 O 0.701 0.545 0.334 1
O22 O 0.809 0.792 0.693 1
O23 O 0.809 0.910 0.465 1
O24 O 0.810 0.138 0.811 1
O25 O 0.816 0.621 0.849 1
O26 O 0.816 0.753 0.137 1
O27 O 0.817 0.465 0.981 1
O28 O 0.923 0.057 0.310 1
O29 O 0.923 0.491 0.545 1
O30 O 0.924 0.292 0.113 1
```



(3)
Density functional theory data (PBE+U) for a relaxed structure of K8MgCo2Mo8O30.

Values from the calculation:
E: -6.317 eV per atom
ΔE_f: -2.02 eV/atom

CIF file:
```
data_K8MgCo2Mo8O30
_cell_length_a 8.482
_cell_length_b 10.484
_cell_length_c 10.511
_cell_angle_alpha 119.51
_cell_angle_beta 90.60
_cell_angle_gamma 91.18
_symmetry_space_group_name_H-M 'P 1'
_symmetry_Int_Tables_number 1
_symmetry_space_group_name_Hall 'P 1'
loop_
_atom_site_label
_atom_site_type_symbol
_atom_site_fract_x
_atom_site_fract_y
_atom_site_fract_z
_atom_site_occupancy
K1 K 0.000 0.000 0.000 1
K2 K 0.002 0.799 0.532 1
K3 K 0.123 0.099 0.417 1
K4 K 0.223 0.223 0.829 1
K5 K 0.274 0.398 0.327 1
K6 K 0.282 0.696 0.108 1
K7 K 0.615 0.093 0.419 1
K8 K 0.987 0.501 0.729 1
Mg1 Mg 0.458 0.980 0.752 1
Co1 Co 0.613 0.423 0.080 1
Co2 Co 0.678 0.765 0.751 1
Mo1 Mo 0.292 0.747 0.752 1
Mo2 Mo 0.503 0.421 0.746 1
Mo3 Mo 0.510 0.077 0.081 1
Mo4 Mo 0.515 0.753 0.418 1
Mo5 Mo 0.770 0.424 0.409 1
Mo6 Mo 0.772 0.761 0.090 1
Mo7 Mo 0.777 0.127 0.758 1
Mo8 Mo 0.978 0.443 0.097 1
O1 O 0.068 0.464 0.955 1
O2 O 0.071 0.589 0.256 1
O3 O 0.073 0.287 0.083 1
O4 O 0.191 0.759 0.907 1
O5 O 0.194 0.610 0.588 1
O6 O 0.232 0.929 0.759 1
O7 O 0.348 0.301 0.628 1
O8 O 0.362 0.087 0.204 1
O9 O 0.371 0.869 0.410 1
O10 O 0.473 0.445 0.927 1
O11 O 0.479 0.222 0.039 1
O12 O 0.483 0.571 0.262 1
O13 O 0.484 0.600 0.755 1
O14 O 0.497 0.766 0.603 1
O15 O 0.498 0.904 0.895 1
O16 O 0.565 0.107 0.697 1
O17 O 0.580 0.356 0.412 1
O18 O 0.582 0.831 0.148 1
O19 O 0.694 0.353 0.687 1
O20 O 0.700 0.100 0.157 1
O21 O 0.703 0.825 0.414 1
O22 O 0.779 0.955 0.777 1
O23 O 0.784 0.586 0.093 1
O24 O 0.787 0.436 0.239 1
O25 O 0.788 0.297 0.949 1
O26 O 0.793 0.605 0.570 1
O27 O 0.798 0.736 0.907 1
O28 O 0.919 0.314 0.422 1
O29 O 0.923 0.888 0.204 1
O30 O 0.946 0.110 0.649 1
```



(4)
Density functional theory data (PBE+U) for a relaxed structure of KMg14CoO16.

Values from the calculation:
E: -5.761 eV per atom
ΔE_f: -2.72 eV/atom

CIF file:
```
data_KMg14CoO16
_cell_length_a 8.657
_cell_length_b 8.657
_cell_length_c 4.313
_cell_angle_alpha 90.00
_cell_angle_beta 90.00
_cell_angle_gamma 90.00
_symmetry_space_group_name_H-M 'P 4/m m m'
_symmetry_Int_Tables_number 123
_symmetry_space_group_name_Hall '-P 4 2'
loop_
_atom_site_label
_atom_site_type_symbol
_atom_site_fract_x
_atom_site_fract_y
_atom_site_fract_z
_atom_site_occupancy
K1 K 0.000 0.000 0.000 1
Mg1 Mg 0.000 0.258 0.500 1
Mg2 Mg 0.000 0.500 0.000 1
Mg3 Mg 0.250 0.250 0.000 1
Mg4 Mg 0.251 0.500 0.500 1
Co1 Co 0.500 0.500 0.000 1
O1 O 0.000 0.000 0.500 1
O2 O 0.000 0.275 0.000 1
O3 O 0.000 0.500 0.500 1
O4 O 0.251 0.251 0.500 1
O5 O 0.260 0.500 0.000 1
O6 O 0.500 0.500 0.500 1
```



(5)
Density functional theory data (PBE+U) for a relaxed structure of KMg14CoO16.

Values from the calculation:
E: -5.768 eV per atom
ΔE_f: -2.73 eV/atom

CIF file:
```
data_KMg14CoO16
_cell_length_a 4.321
_cell_length_b 8.586
_cell_length_c 8.622
_cell_angle_alpha 90.00
_cell_angle_beta 90.00
_cell_angle_gamma 90.00
_symmetry_space_group_name_H-M 'P m m m'
_symmetry_Int_Tables_number 47
_symmetry_space_group_name_Hall '-P 2 2'
loop_
_atom_site_label
_atom_site_type_symbol
_atom_site_fract_x
_atom_site_fract_y
_atom_site_fract_z
_atom_site_occupancy
K1 K 0.000 0.000 0.000 1
Mg1 Mg 0.000 0.000 0.500 1
Mg2 Mg 0.000 0.250 0.251 1
Mg3 Mg 0.000 0.500 0.500 1
Mg4 Mg 0.500 0.000 0.256 1
Mg5 Mg 0.500 0.250 0.500 1
Mg6 Mg 0.500 0.255 0.000 1
Mg7 Mg 0.500 0.500 0.247 1
Co1 Co 0.000 0.500 0.000 1
O1 O 0.000 0.000 0.274 1
O2 O 0.000 0.259 0.500 1
O3 O 0.000 0.279 0.000 1
O4 O 0.000 0.500 0.240 1
O5 O 0.500 0.000 0.000 1
O6 O 0.500 0.000 0.500 1
O7 O 0.500 0.251 0.249 1
O8 O 0.500 0.500 0.000 1
O9 O 0.500 0.500 0.500 1
```



(6)
Density functional theory data (PBE+U) for a relaxed structure of K6CoMo5O19.

Values from the calculation:
E: -6.286 eV per atom
ΔE_f: -2.05 eV/atom

CIF file:
```
data_K6CoMo5O19
_cell_length_a 8.267
_cell_length_b 10.562
_cell_length_c 25.881
_cell_angle_alpha 90.00
_cell_angle_beta 107.51
_cell_angle_gamma 90.00
_symmetry_space_group_name_H-M 'P 1 21/c 1'
_symmetry_Int_Tables_number 14
_symmetry_space_group_name_Hall '-P 2ybc'
loop_
_atom_site_label
_atom_site_type_symbol
_atom_site_fract_x
_atom_site_fract_y
_atom_site_fract_z
_atom_site_occupancy
K1 K 0.003 0.064 0.304 1
K2 K 0.096 0.646 0.454 1
K3 K 0.203 0.000 0.567 1
K4 K 0.214 0.244 0.195 1
K5 K 0.298 0.598 0.659 1
K6 K 0.304 0.742 0.812 1
Co1 Co 0.475 0.250 0.441 1
Mo1 Mo 0.088 0.241 0.942 1
Mo2 Mo 0.161 0.082 0.825 1
Mo3 Mo 0.307 0.569 0.933 1
Mo4 Mo 0.420 0.091 0.060 1
Mo5 Mo 0.483 0.597 0.187 1
O1 O 0.003 0.593 0.553 1
O2 O 0.017 0.541 0.329 1
O3 O 0.044 0.169 0.494 1
O4 O 0.047 0.186 0.771 1
O5 O 0.060 0.696 0.118 1
O6 O 0.114 0.628 0.888 1
O7 O 0.240 0.171 0.890 1
O8 O 0.285 0.103 0.439 1
O9 O 0.309 0.134 0.107 1
O10 O 0.311 0.029 0.284 1
O11 O 0.321 0.021 0.677 1
O12 O 0.330 0.017 0.805 1
O13 O 0.338 0.180 0.996 1
O14 O 0.350 0.647 0.999 1
O15 O 0.363 0.625 0.411 1
O16 O 0.396 0.579 0.550 1
O17 O 0.452 0.714 0.234 1
O18 O 0.463 0.680 0.124 1
O19 O 0.472 0.599 0.905 1
```



(7)
Density functional theory data (PBE+U) for a relaxed structure of K4CoMo4O15.

Values from the calculation:
E: -6.394 eV per atom
ΔE_f: -2.04 eV/atom

CIF file:
```
data_K4CoMo4O15
_cell_length_a 10.4796
_cell_length_b 10.4796
_cell_length_c 8.3103
_cell_angle_alpha 90.00
_cell_angle_beta 90.00
_cell_angle_gamma 120.00
_symmetry_space_group_name_H-M 'P -3'
_symmetry_Int_Tables_number 147
_symmetry_space_group_name_Hall '-P 3'
loop_
_atom_site_label
_atom_site_type_symbol
_atom_site_fract_x
_atom_site_fract_y
_atom_site_fract_z
_atom_site_occupancy
K1 K 0.0000 0.0000 0.0000 1
K2 K 0.0000 0.0000 0.5000 1
K3 K 0.0925 0.6950 0.1402 1
Co1 Co 0.3333 0.6667 0.4740 1
Mo1 Mo 0.0126 0.6709 0.6345 1
Mo2 Mo 0.3333 0.6667 0.8512 1
O1 O 0.0039 0.7838 0.7899 1
O2 O 0.0099 0.7394 0.4419 1
O3 O 0.1504 0.5110 0.3461 1
O4 O 0.1764 0.5193 0.9450 1
O5 O 0.1846 0.6619 0.6535 1
```